Ca3Si2Ni3 | the Materials Project | PBE-GGA | relaxed; DFT formation energy = -508 meV per atom; SG = Pnma, No. 62; energy = -4.78 eV per atom
1.0
3.941 0.000 0.000
0.000 9.243 0.000
0.000 0.000 18.050
Ca Si Ni
12 8 12
Cartesian
2.956 3.625 16.798 Ca
0.985 5.618 1.252 Ca
2.956 8.247 10.277 Ca
0.985 0.996 7.773 Ca
2.956 3.306 10.241 Ca
0.985 5.937 7.809 Ca
2.956 7.928 16.834 Ca
0.985 1.315 1.216 Ca
2.956 3.463 5.735 Ca
0.985 5.780 12.315 Ca
2.956 8.085 3.290 Ca
0.985 1.158 14.760 Ca
2.956 3.479 13.532 Si
0.985 5.764 4.518 Si
2.956 8.100 13.543 Si
0.985 1.143 4.507 Si
2.956 8.079 7.090 Si
0.985 1.164 10.960 Si
2.956 3.457 1.935 Si
0.985 5.786 16.115 Si
2.956 0.517 5.567 Ni
0.985 8.726 12.483 Ni
2.956 5.138 3.458 Ni
0.985 4.105 14.592 Ni
2.956 1.773 3.452 Ni
0.985 7.470 14.598 Ni
2.956 6.395 5.573 Ni
0.985 2.848 12.477 Ni
2.956 5.792 14.703 Ni
0.985 3.452 3.347 Ni
2.956 1.170 12.373 Ni
0.985 8.073 5.678 Ni


Li4Si4Bi2O13 | the Materials Project | PBE-GGA | relaxed; relative energy among the computed polymorphs = 13 meV per atom; DFT formation energy = -2640 meV per atom; SG = P-1, No. 2; energy = -6.66 eV per atom
1.0
6.166 -1.483 3.194
-5.262 -6.700 3.264
4.235 -2.312 -9.058
Li Si Bi O
8 8 4 26
Cartesian
-3.101 -5.887 3.150 Li
-1.018 -6.748 4.459 Li
0.467 -7.690 1.038 Li
-2.179 -7.355 -0.371 Li
7.318 -3.140 -2.228 Li
4.672 -2.805 -3.638 Li
6.157 -3.746 -7.058 Li
8.241 -4.607 -5.749 Li
-0.854 -5.214 1.372 Si
3.738 -3.908 0.732 Si
2.815 -1.865 -1.062 Si
6.482 -2.144 0.606 Si
-1.343 -8.350 -3.205 Si
2.324 -8.629 -1.538 Si
1.401 -6.587 -3.332 Si
5.993 -5.280 -3.972 Si
2.010 -5.903 3.506 Bi
0.189 -4.014 -1.216 Bi
4.951 -6.481 -1.384 Bi
3.129 -4.592 -6.106 Bi
0.948 -7.470 4.724 O
-0.590 -3.569 1.201 O
-0.072 -5.892 2.618 O
-2.451 -5.531 1.396 O
3.158 -3.663 2.194 O
2.815 -0.970 0.266 O
1.909 -8.452 2.454 O
3.918 -1.702 -2.203 O
-0.238 -5.817 -0.076 O
4.276 -5.490 0.556 O
1.286 -1.753 -1.777 O
2.687 -3.520 -0.532 O
5.101 -3.015 0.444 O
0.038 -7.480 -3.043 O
2.452 -6.975 -2.068 O
3.853 -8.741 -0.822 O
0.863 -5.005 -3.156 O
5.378 -4.677 -2.523 O
1.221 -8.793 -0.396 O
3.230 -2.043 -5.054 O
2.325 -9.524 -2.866 O
1.981 -6.832 -4.794 O
7.590 -4.964 -3.995 O
5.211 -4.603 -5.217 O
5.729 -6.925 -3.800 O
4.191 -3.025 -7.323 O


CeSe2 | the Materials Project | PBE-GGA | relaxed; DFT formation energy = -1415 meV per atom; SG = Cc, No. 9; energy = -5.41 eV per atom
1.0
6.809 5.574 0.000
-6.809 5.574 0.000
0.000 1.612 8.930
Ce Se
4 8
Cartesian
-6.265 7.223 8.919 Ce
6.265 6.417 4.453 Ce
-1.160 6.509 8.173 Ce
1.160 5.703 3.708 Ce
1.067 3.018 4.212 Se
-1.067 3.824 8.677 Se
0.192 10.212 2.515 Se
-0.192 11.018 6.980 Se
-0.490 6.845 5.555 Se
0.490 6.039 1.090 Se
-3.598 7.656 8.577 Se
3.598 6.849 4.112 Se